MgMn2FeWO6 after structural relaxation. Source: the Materials Project database, functional PBE+U.

Cell and atoms, written as extended XYZ:
```
11
Lattice="5.4085 0.0000 0.0000 2.6950 4.7556 0.0000 2.7008 -1.3874 5.2160" Properties=species:S:1:pos:R:3 pbc="T T T"
Mg 0.0000 0.0000 0.0000
Mn 5.3922 0.1243 2.9309
Mn 8.0705 1.6937 4.4948
Fe 2.7073 1.5900 1.0159
W 5.3923 3.2341 2.3902
O 4.6114 1.9052 3.7487
O 3.7567 3.2844 1.0922
O 6.9646 3.3015 3.7327
O 3.7030 -0.1267 1.2000
O 6.1499 1.6043 1.1451
O 7.2880 -0.0891 3.7474
```

Summary:
Its excess energy over the best structure of this formula in the dataset is 0.0 meV/atom. As for the volume: 12.20 Å³/atom. As for the final energy: -79.03 eV/cell. Its symmetry is P1, No. 1.



RbMgFeMo2O8 after structural relaxation. Source: the Materials Project database, functional PBE+U.

Cell and atoms, written as extended XYZ:
```
13
Lattice="5.5435 0.0000 0.0000 -2.7718 4.8009 0.0000 0.0000 0.0000 7.4564" Properties=species:S:1:pos:R:3 pbc="T T T"
Rb 0.0000 0.0000 0.0000
Mg 2.7718 1.6003 5.3567
Fe 0.0000 0.0000 3.8049
Mo 0.0000 3.2006 5.5281
Mo 2.7718 1.6003 1.7875
O 0.8538 1.4638 4.8553
O 1.5809 0.4130 2.4114
O 0.0000 3.2006 7.3063
O 2.7718 1.6003 7.4213
O 3.8489 0.0075 4.8553
O 2.3390 3.2253 2.4114
O 4.3955 1.1626 2.4114
O 3.6126 3.3295 4.8553
```

Summary:
Its excess energy over the best structure of this formula in the dataset is 0.0 meV/atom. As for the volume: 15.26 Å³/atom. As for the final energy: -83.86 eV/cell. Its symmetry is P3, No. 143.



RbMgFeMo2O8 after structural relaxation. Source: the Materials Project database, functional PBE+U.

Cell and atoms, written as extended XYZ:
```
13
Lattice="5.8767 0.0000 0.0000 -2.9383 5.0894 0.0000 0.0000 0.0000 10.3232" Properties=species:S:1:pos:R:3 pbc="T T T"
Rb 0.0000 0.0000 0.0000
Mg 0.0000 0.0000 6.3776
Fe 0.0000 0.0000 3.6013
Mo 0.0000 3.3929 5.6776
Mo 2.9383 1.6964 1.9211
O -1.5756 4.1983 5.1838
O 0.0903 1.6257 5.1838
O 1.5857 0.6361 2.4662
O 0.0000 3.3929 7.4231
O 2.9383 1.6964 0.1487
O 1.4853 4.3547 5.1838
O 2.6964 3.3981 2.4662
O 4.5330 1.0552 2.4662
```

Summary:
Its excess energy over the best structure of this formula in the dataset is 74.2 meV/atom. As for the volume: 23.75 Å³/atom. As for the final energy: -82.89 eV/cell. Its symmetry is P3, No. 143.



Sr8Mg3FeMo4O24 after structural relaxation. Source: the Materials Project database, functional PBE+U.

Cell and atoms, written as extended XYZ:
```
40
Lattice="7.9381 0.0000 0.0000 -0.0044 7.9689 0.0000 -3.9657 -3.9845 8.0889" Properties=species:S:1:pos:R:3 pbc="T T T"
Sr -0.0403 -0.0255 2.0179
Sr -0.0443 4.0128 2.0223
Sr -0.0429 4.0149 6.0667
Sr -0.0372 -0.0255 6.0734
Sr 4.0052 4.0099 2.0155
Sr 4.0109 -0.0305 2.0222
Sr 4.0123 -0.0284 6.0666
Sr 4.0083 4.0099 6.0709
Mg 1.9841 1.9921 0.0209
Mg 1.9862 -1.9923 4.0444
Mg 1.9839 1.9923 8.0679
Fe -1.9850 1.9922 4.0444
Mo -1.9828 -1.9923 4.0444
Mo 1.9801 5.9768 0.0180
Mo 1.9840 1.9922 4.0444
Mo 1.9879 -1.9924 8.0708
O -3.8975 1.7118 8.0469
O -1.7149 3.9606 4.0447
O -1.9757 -1.9929 6.0612
O -1.9856 1.9913 6.1074
O 1.6979 7.8930 0.0223
O -0.0634 -1.7396 4.0517
O 0.0363 1.7052 4.0453
O 2.2634 4.0606 0.0240
O 1.9776 5.9775 1.9500
O 1.9831 1.9916 2.1131
O 1.7131 3.9107 4.0439
O -0.0737 2.2724 8.0451
O 4.0417 1.7120 0.0438
O 2.2549 0.0737 4.0449
O 1.9849 1.9928 5.9758
O 1.9904 -1.9931 6.1389
O 1.7046 -0.0762 8.0648
O 3.9317 2.2792 4.0435
O 4.0314 5.7240 4.0372
O 2.2702 -3.9086 8.0665
O 5.9536 1.9931 1.9814
O 5.9437 5.9773 2.0277
O 5.6829 0.0238 4.0442
O 7.8655 2.2726 0.0420
```

Summary:
As for the volume: 12.79 Å³/atom. As for the final energy: -268.60 eV/cell. Its symmetry is P-1, No. 2.



Mg7VFeMo15O56 after structural relaxation. Source: the Materials Project database, functional PBE+U.

Cell and atoms, written as extended XYZ:
```
80
Lattice="8.5105 0.0000 0.0000 -0.0283 9.2422 0.0000 -1.9308 -0.0240 16.1206" Properties=species:S:1:pos:R:3 pbc="T T T"
Mg 0.0000 0.0000 0.0000
Mg -0.5905 4.5726 9.1563
Mg 0.6249 4.6336 12.2065
Mg 2.0387 0.0868 5.1057
Mg 3.2076 9.1871 8.1575
Mg 4.6410 4.5902 1.0621
Mg 5.8508 4.7091 4.1021
V 0.0089 1.3023 13.4253
Fe 5.3811 0.0882 13.1963
Mo 0.0155 7.9767 7.8833
Mo 0.5718 3.5450 5.7720
Mo -0.5298 5.7243 15.5333
Mo 2.6378 5.9338 3.8318
Mo 3.1908 1.1254 1.7199
Mo 2.0880 8.2000 11.5719
Mo 2.6217 3.3536 9.4197
Mo 3.3013 7.9651 15.9039
Mo 3.8971 3.5017 13.8207
Mo 4.6925 5.7360 7.4771
Mo 5.2451 1.3062 5.3773
Mo 5.9256 5.9435 11.9226
Mo 6.4612 1.1048 9.8063
Mo 7.2959 8.1780 3.4110
Mo 7.8550 3.3586 1.3526
O 0.0538 4.5709 0.0517
O -1.5064 0.6346 14.2034
O -1.1105 5.3539 11.0609
O -0.7275 9.1696 9.1952
O 0.3290 8.6061 4.1447
O 0.5518 3.1270 2.5709
O -0.9834 7.3894 15.8742
O -0.4477 5.5081 13.7718
O -0.2307 2.8035 12.6663
O 0.3109 6.4014 8.6118
O 0.4557 3.7732 7.5299
O 1.0206 1.8740 5.4383
O 1.4243 6.1643 2.6209
O 1.6356 0.6914 1.0271
O 0.7997 0.1079 12.1747
O 1.4975 8.5896 7.0240
O 1.1382 3.9807 10.2674
O 1.9185 4.7270 5.1378
O 1.1101 1.4836 14.6364
O 2.9608 5.3200 0.1151
O 1.6402 6.5176 11.8841
O 2.3393 1.7842 8.6713
O 2.2048 8.4297 9.8085
O 2.9238 7.5077 4.5729
O 3.0893 0.8843 3.4770
O 3.6371 2.7994 1.4032
O 2.0931 7.7153 14.7021
O 2.3623 3.9190 13.0929
O 3.3477 4.5575 8.1142
O 4.1229 5.3261 2.9704
O 3.7643 0.6924 6.2403
O 4.5194 9.1891 1.0822
O 3.8371 3.1192 10.6302
O 3.6804 8.6457 12.2852
O 4.2431 7.4049 7.8153
O 4.8040 5.5102 5.7191
O 4.9477 2.8822 4.6445
O 5.5548 6.4175 0.5068
O 3.7699 3.7406 15.5667
O 4.9334 0.6814 9.0547
O 4.7148 6.1763 10.7175
O 4.4106 1.8279 13.4971
O 5.9766 0.1051 4.0701
O 4.7857 8.5931 15.0191
O 6.3635 3.9780 2.1941
O 5.2079 4.7146 13.1959
O 6.2384 5.2970 8.2026
O 6.4581 1.5460 6.5885
O 6.8539 6.5063 3.7554
O 7.4061 8.4150 1.6518
O 7.5619 1.7888 0.6061
O 6.2606 0.8365 11.5569
O 6.1826 7.5281 12.6972
O 6.9096 2.7828 9.5309
O 7.3184 7.7445 6.6680
O 7.5339 3.9805 5.0535
```

Summary:
As for the volume: 15.85 Å³/atom. As for the final energy: -553.32 eV/cell. Its symmetry is P1, No. 1.



MgVFeMo3O14 after structural relaxation. Source: the Materials Project database, functional PBE+U.

Cell and atoms, written as extended XYZ:
```
40
Lattice="8.4256 0.0000 0.0000 0.0000 9.1123 0.0000 -3.3478 0.0000 8.0690" Properties=species:S:1:pos:R:3 pbc="T T T"
Mg 0.6368 0.0000 3.4625
Mg 4.4410 4.5561 4.6064
V -2.0687 5.8960 7.3329
V 7.1465 1.3398 0.7361
Fe 1.8073 0.0437 0.4949
Fe 3.2705 4.5998 7.5740
Mo -0.8157 5.6697 2.8817
Mo 1.2244 3.3101 4.8229
Mo 3.3216 3.5247 1.1297
Mo 1.7562 8.0808 6.9393
Mo 3.8535 7.8662 3.2460
Mo 5.8935 1.1135 5.1873
O -2.3834 0.8490 6.9418
O -1.0060 0.6964 4.4418
O 0.2053 0.7037 1.5311
O -0.3617 7.3381 3.1686
O 1.0365 7.4076 0.0765
O -0.9492 6.1236 6.1598
O 0.5403 4.5101 3.5115
O 2.0215 4.6972 0.5135
O -0.0031 3.0377 6.0036
O 2.8179 1.8415 0.8116
O 1.5719 1.7627 4.0696
O 2.3784 8.5095 2.3760
O 0.2010 8.5177 7.6959
O 1.6165 8.3104 5.1825
O 3.4613 3.7543 2.8864
O 4.8769 3.9616 0.3731
O 2.6994 3.9534 5.6930
O 3.5059 6.3188 3.9994
O 2.2599 6.3977 7.2574
O 5.0809 7.5938 2.0654
O 3.0563 0.1410 7.5554
O 4.5375 9.0662 4.5575
O 6.0270 1.5674 1.9092
O 4.0414 2.8515 7.9924
O 5.4395 2.7819 4.9004
O 4.8725 5.2598 6.5379
O 6.0838 5.2525 3.6272
O 7.4612 5.4051 1.1272
```

Summary:
As for the volume: 15.49 Å³/atom. As for the final energy: -279.98 eV/cell. Its symmetry is P2_1, No. 4.



NaMgFeO2 after structural relaxation. Source: the Materials Project database, functional PBE+U.

Cell and atoms, written as extended XYZ:
```
5
Lattice="2.7587 -1.5954 0.0000 2.7587 1.5954 0.0000 -1.5813 0.0000 8.0157" Properties=species:S:1:pos:R:3 pbc="T T T"
Na 0.0000 0.0000 0.0000
Mg 2.0803 0.0000 5.5598
Fe 1.8348 0.0000 2.5106
O 0.2369 0.0000 6.3094
O 3.6780 0.0000 1.5930
```

Summary:
Its excess energy over the best structure of this formula in the dataset is 8.4 meV/atom. As for the volume: 14.11 Å³/atom. As for the final energy: -25.68 eV/cell. Its symmetry is Cm, No. 8.



NaMgFeO2 after structural relaxation. Source: the Materials Project database, functional PBE+U.

Cell and atoms, written as extended XYZ:
```
5
Lattice="2.7809 -1.5819 0.0000 2.7809 1.5819 0.0000 -0.3821 0.0000 7.7980" Properties=species:S:1:pos:R:3 pbc="T T T"
Na 0.0000 0.0000 0.0000
Mg 1.8269 0.0000 2.4559
Fe 3.2669 0.0000 5.3066
O 1.5125 0.0000 6.2321
O 3.6693 0.0000 1.7107
```

Summary:
Its excess energy over the best structure of this formula in the dataset is 0.0 meV/atom. As for the volume: 13.72 Å³/atom. As for the final energy: -25.72 eV/cell. Its symmetry is Cm, No. 8.



Among the records above, which one has the lowest volume? MgMn2FeWO6